# 1
Entry from the Materials Project database: crystalline NdGa3 at its relaxed geometry (r²SCAN).

Properties
M_tot = 0.00 μB/f.u.
energy above the most stable polymorph in this dataset = 0.122 eV/atom
E_form = -0.517 eV/atom

abc: 4.3612 4.3612 4.3612
angles: 90.00 90.00 90.00
Last column: nearest neighbours and their distance in Å.
Space group Pm-3m (No. 221)
Inequivalent atoms, fractional coordinates:
Nd 0.0000 0.0000 0.0000 (multiplicity 1)  12 Ga 3.08
Ga 0.0000 0.5000 0.5000 (multiplicity 3)  4 Nd 3.08, 8 Ga 3.08

=====

# 2
Entry from the Materials Project database: crystalline NdGa6 at its relaxed geometry (r²SCAN).

Properties
M_tot = 0.00 μB/f.u.
E_form = -0.394 eV/atom

abc: 6.0084 6.0084 7.6162
angles: 90.00 90.00 90.00
Last column: nearest neighbours and their distance in Å.
Space group P4/nbm (No. 125, origin choice 2)
Inequivalent atoms, fractional coordinates:
Nd 0.2500 0.7500 0.0000 (multiplicity 2)  12 Ga 3.17-3.24
Ga 0.0407 0.5407 0.3444 (multiplicity 8)  3 Ga 2.47-2.57
Ga 0.2500 0.2500 0.1601 (multiplicity 4)  5 Ga 2.44-2.57

=====

# 3
Entry from the Materials Project database: crystalline NdGa3 at its relaxed geometry (r²SCAN).

Properties
M_tot = 0.00 μB/f.u.
energy above the most stable polymorph in this dataset = 0.000 eV/atom
E_form = -0.639 eV/atom

abc: 6.4666 6.4666 4.5185
angles: 90.00 90.00 120.00
Last column: nearest neighbours and their distance in Å.
Space group P6_3/mmc (No. 194)
Inequivalent atoms, fractional coordinates:
Nd 0.3333 0.6667 0.2500 (multiplicity 2)  12 Ga 3.13-3.25
Ga 0.1402 0.2804 0.7500 (multiplicity 6)  6 Ga 2.72-2.75

=====

# 4
Entry from the Materials Project database: crystalline Nd3Ga2 at its relaxed geometry (r²SCAN).

Properties
M_tot = 0.00 μB/f.u.
E_form = -0.574 eV/atom

abc: 12.0022 12.0022 15.4197
angles: 90.00 90.00 90.00
Last column: nearest neighbours and their distance in Å.
Space group I4/mcm (No. 140)
Inequivalent atoms, fractional coordinates:
Nd 0.0000 0.5000 0.1504 (multiplicity 8)  4 Ga 3.03-3.17, 1 Nd 3.07
Nd 0.0683 0.1989 0.1341 (multiplicity 32)  5 Ga 3.09-3.26
Nd 0.1645 0.3355 0.5000 (multiplicity 8)  4 Ga 3.14-3.41
Ga 0.0000 0.0000 0.0000 (multiplicity 4)  8 Nd 3.26
Ga 0.0000 0.0000 0.2500 (multiplicity 4)  8 Nd 3.09
Ga 0.1148 0.3852 0.0000 (multiplicity 8)  6 Nd 3.03-3.10
Ga 0.1804 0.3196 0.2973 (multiplicity 16)  1 Ga 2.78

=====

# 5
Entry from the Materials Project database: crystalline Nd2Ga12Ni at its relaxed geometry (r²SCAN).

Properties
M_tot = 0.00 μB/f.u.
E_form = -0.449 eV/atom

abc: 6.0064 6.0064 15.3144
angles: 90.00 90.00 90.00
Last column: nearest neighbours and their distance in Å.
Space group P4/nbm (No. 125, origin choice 2)
Inequivalent atoms, fractional coordinates:
Nd 0.2500 0.7500 0.2440 (multiplicity 4)  14 Ga 3.15-3.35
Ga 0.0006 0.5006 0.0835 (multiplicity 8)  2 Ni 2.47-2.48, 3 Ga 2.56-2.61
Ga 0.0773 0.5773 0.5710 (multiplicity 8)  3 Ga 2.54-2.60
Ga 0.2500 0.2500 0.1821 (multiplicity 4)  5 Ga 2.44-2.61
Ga 0.2500 0.2500 0.3414 (multiplicity 4)  5 Ga 2.44-2.60
Ni 0.2500 0.7500 0.0000 (multiplicity 2)  8 Ga 2.47-2.48

=====

# 6
Entry from the Materials Project database: crystalline NdGa2Ni3 at its relaxed geometry (r²SCAN).

Properties
M_tot = 0.00 μB/f.u.
E_form = -0.524 eV/atom

abc: 8.8234 8.8234 4.0892
angles: 90.00 90.00 120.00
Last column: nearest neighbours and their distance in Å.
Space group P-62m (No. 189)
Inequivalent atoms, fractional coordinates:
Nd 0.0000 0.0000 0.0000 (multiplicity 1)  6 Ni 2.85, 6 Ga 3.16
Nd 0.3333 0.6667 0.5000 (multiplicity 2)  9 Ni 3.04-3.16, 9 Ga 3.24-3.27
Ga 0.0000 0.4746 0.0000 (multiplicity 3)  6 Ni 2.37-2.62
Ga 0.0000 0.7272 0.5000 (multiplicity 3)  6 Ni 2.42-2.48
Ni 0.0000 0.2881 0.5000 (multiplicity 3)  4 Ga 2.48-2.62, 4 Ni 2.57
Ni 0.1693 0.7973 0.0000 (multiplicity 6)  4 Ga 2.37-2.47, 3 Ni 2.57-2.59

=====

# 7
Entry from the Materials Project database: crystalline Nd2GaNi2 at its relaxed geometry (r²SCAN).

Properties
M_tot = 0.00 μB/f.u.
E_form = -0.465 eV/atom

abc: 4.2579 5.4063 8.5145
angles: 90.00 90.00 90.00
Last column: nearest neighbours and their distance in Å.
Space group Immm (No. 71)
Inequivalent atoms, fractional coordinates:
Nd 0.0000 0.0000 0.2004 (multiplicity 4)  6 Ni 2.92-3.02, 2 Ga 3.20
Ga 0.0000 0.5000 0.0000 (multiplicity 2)  4 Ni 2.55
Ni 0.0000 0.2611 0.5000 (multiplicity 4)  2 Ga 2.55, 2 Ni 2.58-2.82

=====

# 8
Entry from the Materials Project database: crystalline Nd3Tm2Ga3O12 at its relaxed geometry (r²SCAN).

Properties
M_tot = 0.00 μB/f.u.
E_form = -3.246 eV/atom

abc: 12.9186 12.9186 12.9186
angles: 90.00 90.00 90.00
Last column: nearest neighbours and their distance in Å.
Space group Ia-3d (No. 230)
Inequivalent atoms, fractional coordinates:
Nd 0.0000 0.2500 0.1250 (multiplicity 24)  8 O 2.46-2.54
Tm 0.0000 0.0000 0.0000 (multiplicity 16)  6 O 2.20
Ga 0.0000 0.2500 0.3750 (multiplicity 24)  4 O 1.87
O 0.0310 0.0585 0.6571 (multiplicity 96)  1 Ga 1.87

=====

# 9
Entry from the Materials Project database: crystalline NdGa4Os at its relaxed geometry (r²SCAN).

Properties
M_tot = 0.00 μB/f.u.
E_form = -0.535 eV/atom

abc: 9.6813 8.7383 7.6334
angles: 90.00 90.00 90.00
Last column: nearest neighbours and their distance in Å.
Space group Pmma (No. 51)
Inequivalent atoms, fractional coordinates:
Nd 0.2500 0.0000 0.1795 (multiplicity 2)  10 Ga 3.03-3.24
Nd 0.2500 0.2509 0.6606 (multiplicity 4)  10 Ga 3.05-3.15
Ga 0.0000 0.0000 0.5000 (multiplicity 2)  6 Ga 2.74-2.78
Ga 0.0616 0.5000 0.8391 (multiplicity 4)  3 Os 2.64-2.66, 5 Ga 2.73-2.78
Ga 0.0751 0.2635 0.3208 (multiplicity 8)  2 Os 2.56-2.58, 4 Ga 2.70-2.78
Ga 0.0842 0.0000 0.8425 (multiplicity 4)  2 Os 2.56, 1 Ga 2.74
Ga 0.2500 0.3439 0.0481 (multiplicity 4)  2 Os 2.61, 6 Ga 2.73-2.80
Ga 0.2500 0.5000 0.3686 (multiplicity 2)  2 Os 2.62, 6 Ga 2.70-2.80
Os 0.0000 0.2414 0.0000 (multiplicity 4)  8 Ga 2.56-2.64
Os 0.0000 0.5000 0.5000 (multiplicity 2)  8 Ga 2.58-2.66

=====

# 10
Entry from the Materials Project database: crystalline Nd2Ga7Pd at its relaxed geometry (r²SCAN).

Properties
M_tot = 0.00 μB/f.u.
E_form = -0.638 eV/atom

abc: 4.2740 4.2740 10.5679
angles: 90.00 90.00 90.00
Last column: nearest neighbours and their distance in Å.
Space group P-4m2 (No. 115)
Inequivalent atoms, fractional coordinates:
Nd 0.0000 0.5000 0.2479 (multiplicity 2)  14 Ga 3.25-3.42, 2 Pd 3.38
Ga 0.0000 0.0000 0.0000 (multiplicity 1)  4 Ga 2.53
Ga 0.0000 0.0000 0.5000 (multiplicity 1)  4 Ga 2.59
Ga 0.0000 0.5000 0.6383 (multiplicity 2)  5 Ga 2.46-2.59
Ga 0.0000 0.5000 0.8712 (multiplicity 2)  3 Ga 2.46-2.53, 2 Pd 2.53
Ga 0.5000 0.5000 0.5000 (multiplicity 1)  4 Ga 2.59
Pd 0.5000 0.5000 0.0000 (multiplicity 1)  4 Ga 2.53

=====

# 11
Entry from the Materials Project database: crystalline NdGaPd2 at its relaxed geometry (r²SCAN).

Properties
M_tot = 0.00 μB/f.u.
E_form = -0.892 eV/atom

abc: 7.5677 7.0803 5.7259
angles: 90.00 90.00 90.00
Last column: nearest neighbours and their distance in Å.
Space group Pnma (No. 62)
Inequivalent atoms, fractional coordinates:
Nd 0.0344 0.2500 0.1482 (multiplicity 4)  8 Pd 3.07-3.33, 3 Ga 3.08-3.13
Ga 0.1196 0.7500 0.3497 (multiplicity 4)  6 Pd 2.56-2.67
Pd 0.1775 0.0529 0.5883 (multiplicity 8)  3 Ga 2.56-2.67, 1 Pd 2.79

=====

# 12
Entry from the Materials Project database: crystalline NdGaPd at its relaxed geometry (r²SCAN).

Properties
M_tot = 0.00 μB/f.u.
E_form = -0.894 eV/atom

abc: 7.2194 4.5731 7.6046
angles: 90.00 90.00 90.00
Last column: nearest neighbours and their distance in Å.
Space group Pnma (No. 62)
Inequivalent atoms, fractional coordinates:
Nd 0.0217 0.2500 0.1973 (multiplicity 4)  3 Pd 2.95-3.09, 6 Ga 3.11-3.29
Ga 0.1754 0.2500 0.5800 (multiplicity 4)  4 Pd 2.63-2.76
Pd 0.2068 0.7500 0.4078 (multiplicity 4)  4 Ga 2.63-2.76, 1 Nd 2.95

=====

# 13
Entry from the Materials Project database: crystalline PmNdGa2 at its relaxed geometry (r²SCAN).

Properties
M_tot = 0.00 μB/f.u.
E_form = -0.627 eV/atom

abc: 7.3430 7.3430 7.3430
angles: 90.00 90.00 90.00
Last column: nearest neighbours and their distance in Å.
Space group Fm-3m (No. 225)
Inequivalent atoms, fractional coordinates:
Pm 0.0000 0.0000 0.0000 (multiplicity 4)  8 Ga 3.18
Nd 0.0000 0.0000 0.5000 (multiplicity 4)  8 Ga 3.18
Ga 0.2500 0.2500 0.2500 (multiplicity 8)  4 Nd 3.18, 4 Pm 3.18

=====

# 14
Entry from the Materials Project database: crystalline NdGa3Pt at its relaxed geometry (r²SCAN).

Properties
M_tot = 0.00 μB/f.u.
E_form = -0.820 eV/atom

abc: 4.1859 4.1859 10.7769
angles: 90.00 90.00 90.00
Last column: nearest neighbours and their distance in Å.
Space group I-4m2 (No. 119)
Inequivalent atoms, fractional coordinates:
Nd 0.0000 0.0000 0.0000 (multiplicity 2)  12 Ga 3.21-3.41, 4 Pt 3.41
Ga 0.0000 0.0000 0.3853 (multiplicity 4)  3 Ga 2.47-2.55, 2 Pt 2.55
Ga 0.0000 0.5000 0.2500 (multiplicity 2)  4 Ga 2.55
Pt 0.0000 0.5000 0.7500 (multiplicity 2)  4 Ga 2.55

=====

# 15
Entry from the Materials Project database: crystalline NdGa2Pt3 at its relaxed geometry (r²SCAN).

Properties
M_tot = 0.00 μB/f.u.
E_form = -0.997 eV/atom

abc: 5.5844 5.5844 3.9942
angles: 90.00 90.00 120.00
Last column: nearest neighbours and their distance in Å.
Space group P6/mmm (No. 191)
Inequivalent atoms, fractional coordinates:
Nd 0.0000 0.0000 0.0000 (multiplicity 1)  6 Ga 3.22, 12 Pt 3.43
Ga 0.3333 0.6667 0.0000 (multiplicity 2)  6 Pt 2.57
Pt 0.0000 0.5000 0.5000 (multiplicity 3)  4 Ga 2.57, 4 Pt 2.79